1.
# Mn2FeN2

A relaxed Mn2FeN2 crystal (PBE, Materials Project).

Summary:
ΔE to the lowest computed polymorph: 0 meV/atom
Electronic total energy: -8.8616 eV/atom
Energy of formation: -313 meV/atom

The structure in CIF format:
```
data_Mn2FeN2
_cell_length_a 2.8548
_cell_length_b 11.4204
_cell_length_c 2.8540
_cell_angle_alpha 90.00
_cell_angle_beta 90.00
_cell_angle_gamma 90.00
_symmetry_space_group_name_H-M 'P m m n'
_symmetry_Int_Tables_number 59
loop_
_symmetry_equiv_pos_as_xyz
'x,y,z'
'-x,-y,-z'
'-x+1/2,-y+1/2,z'
'x+1/2,y+1/2,-z'
'x+1/2,-y,-z'
'-x+1/2,y,z'
'-x,y+1/2,-z'
'x,-y+1/2,z'
loop_
_atom_site_label
_atom_site_fract_x
_atom_site_fract_y
_atom_site_fract_z
Mn1 0.2500 0.0985 0.2438
Fe1 0.2500 0.7500 0.2615
N1 0.2500 0.5875 0.2561
```


2.
# Ti3Pb5F19

A relaxed Ti3Pb5F19 crystal (PBE, Materials Project).

Summary:
Electronic total energy: -5.6796 eV/atom
Energy of formation: -3093 meV/atom

The structure in CIF format:
```
data_Ti3Pb5F19
_cell_length_a 14.7702
_cell_length_b 14.7702
_cell_length_c 7.8539
_cell_angle_alpha 90.00
_cell_angle_beta 90.00
_cell_angle_gamma 90.00
_symmetry_space_group_name_H-M 'I 4 c m'
_symmetry_Int_Tables_number 108
_symmetry_space_group_name_Hall 'I 4 -2c'
loop_
_atom_site_label
_atom_site_fract_x
_atom_site_fract_y
_atom_site_fract_z
Ti1 0.0000 0.0000 0.0000
Ti2 0.1636 0.3364 0.3021
Pb1 0.0000 0.5000 0.4649
Pb2 0.0647 0.2309 0.8516
F1 0.0000 0.0000 0.2498
F2 0.0564 0.1205 0.4916
F3 0.0631 0.3087 0.4689
F4 0.0737 0.4263 0.2183
F5 0.1004 0.2456 0.1491
F6 0.1130 0.3870 0.8463
F7 0.2473 0.2527 0.8555
```


3.
# SrCaB14H5O26

A relaxed SrCaB14H5O26 crystal (PBE, Materials Project).

Summary:
Electronic total energy: -6.8547 eV/atom
Energy of formation: -2068 meV/atom

The structure in CIF format:
```
data_SrCaB14H5O26
_cell_length_a 12.9026
_cell_length_b 14.4773
_cell_length_c 12.9189
_cell_angle_alpha 90.00
_cell_angle_beta 101.12
_cell_angle_gamma 90.00
_symmetry_space_group_name_H-M 'P 1 21/c 1'
_symmetry_Int_Tables_number 14
loop_
_symmetry_equiv_pos_as_xyz
'x,y,z'
'-x,-y,-z'
'-x,y+1/2,-z+1/2'
'x,-y+1/2,z+1/2'
loop_
_atom_site_label
_atom_site_fract_x
_atom_site_fract_y
_atom_site_fract_z
Sr1 0.2321 0.1662 0.1139
Ca1 0.2603 0.7410 0.8734
B1 0.0047 0.1879 0.2529
B2 0.0407 0.2049 0.9228
B3 0.0449 0.7447 0.9306
B4 0.0811 0.5419 0.2073
B5 0.0880 0.5690 0.5941
B6 0.1213 0.6792 0.1093
B7 0.1853 0.2492 0.3319
B8 0.2318 0.5614 0.4797
B9 0.3083 0.7402 0.1600
B10 0.3721 0.1993 0.8887
B11 0.4224 0.0539 0.8071
B12 0.4493 0.7005 0.0664
B13 0.4533 0.2427 0.5723
B14 0.4885 0.6944 0.7404
H1 0.0916 0.0249 0.4545
H2 0.2205 0.1416 0.6124
H3 0.2234 0.5571 0.8371
H4 0.3645 0.0407 0.2425
H5 0.3678 0.0412 0.5176
O1 0.0039 0.6154 0.6155
O2 0.0196 0.7162 0.1395
O3 0.0210 0.5904 0.2650
O4 0.0403 0.2177 0.0354
O5 0.0625 0.7447 0.3294
O6 0.0959 0.0523 0.7213
O7 0.1168 0.2029 0.2543
O8 0.1214 0.6960 0.9978
O9 0.1261 0.0135 0.1372
O10 0.1289 0.5808 0.1318
O11 0.1517 0.2095 0.9148
O12 0.1519 0.6025 0.5254
O13 0.2084 0.7294 0.1787
O14 0.2636 0.0234 0.0182
O15 0.2718 0.6093 0.4080
O16 0.2893 0.2483 0.3207
O17 0.3385 0.7114 0.0688
O18 0.3633 0.1012 0.8670
O19 0.3735 0.2181 0.0001
O20 0.3778 0.7172 0.7401
O21 0.4113 0.5412 0.2958
O22 0.4398 0.2410 0.6744
O23 0.4568 0.7076 0.9565
O24 0.4815 0.2299 0.8641
O25 0.4958 0.0953 0.7578
O26 0.4982 0.6180 0.1173
```


4.
# CsTbP4O12

A relaxed CsTbP4O12 crystal (PBE, Materials Project).

Summary:
Piezoelectric modulus e_max: 0.2 C/m2
Electronic total energy: -7.2772 eV/atom
Energy of formation: -2926 meV/atom

The structure in CIF format:
```
data_CsTbP4O12
_cell_length_a 7.1106
_cell_length_b 9.1729
_cell_length_c 8.8094
_cell_angle_alpha 90.00
_cell_angle_beta 99.98
_cell_angle_gamma 90.00
_symmetry_space_group_name_H-M 'P 1 21 1'
_symmetry_Int_Tables_number 4
loop_
_symmetry_equiv_pos_as_xyz
'x,y,z'
'-x,y+1/2,-z'
loop_
_atom_site_label
_atom_site_fract_x
_atom_site_fract_y
_atom_site_fract_z
Cs1 0.1689 0.0000 0.1737
Tb1 0.3014 0.8353 0.6973
P1 0.1415 0.4670 0.5397
P2 0.1869 0.4091 0.2231
P3 0.4173 0.6092 0.0686
P4 0.4414 0.2250 0.6213
O1 0.0183 0.8622 0.8185
O2 0.0485 0.8927 0.4967
O3 0.1593 0.6040 0.6330
O4 0.2180 0.5346 0.1006
O5 0.2194 0.5018 0.3820
O6 0.2883 0.3519 0.6341
O7 0.3441 0.2985 0.2334
O8 0.3489 0.0788 0.5929
O9 0.3681 0.6832 0.9171
O10 0.4215 0.0012 0.9041
O11 0.4221 0.7793 0.4772
O12 0.4479 0.7345 0.2002
```


5.
# NpTe3

A relaxed NpTe3 crystal (PBE, Materials Project).

Summary:
Electronic total energy: -5.8760 eV/atom
Energy of formation: -598 meV/atom

The structure in CIF format:
```
data_NpTe3
_cell_length_a 6.6038
_cell_length_b 6.6038
_cell_length_c 5.9777
_cell_angle_alpha 90.00
_cell_angle_beta 90.00
_cell_angle_gamma 120.00
_symmetry_space_group_name_H-M 'P 63/m m c'
_symmetry_Int_Tables_number 194
_symmetry_space_group_name_Hall '-P 6c 2c'
loop_
_atom_site_label
_atom_site_fract_x
_atom_site_fract_y
_atom_site_fract_z
Np1 0.3333 0.6667 0.2500
Te1 0.1737 0.3474 0.7500
```


- electronic total energy of number 1 (Mn2FeN2)?
  -8.8616 eV/atom